<a>
{
  "formula": "Mg6BMo",
  "functional": "GGA-PBE",
  "state": "optimized geometry",
  "lattice_angstrom": [[-3.720, -1.738, -1.921], [2.852, -5.140, -0.871], [-3.521, -3.672, 10.136]],
  "species": ["Mg", "Mg", "Mg", "Mg", "Mg", "Mg", "Mg", "Mg", "Mg", "Mg", "Mg", "Mg", "B", "B", "Mo", "Mo"],
  "fractional_positions": [[0.000, 0.243, 0.575], [0.000, 0.757, 0.575], [0.000, 0.500, 0.828], [0.500, 0.764, 0.909], [0.500, 0.236, 0.909], [0.500, 0.500, 0.675], [0.000, 0.743, 0.075], [0.000, 0.257, 0.075], [0.000, 0.000, 0.328], [0.500, 0.264, 0.409], [0.500, 0.736, 0.409], [0.500, 0.000, 0.175], [0.500, 0.000, 0.738], [0.500, 0.500, 0.238], [0.000, 0.000, 0.790], [0.000, 0.500, 0.290]],
  "density_g_cm3": 2.746
}

<b>
{
  "formula": "Mg6BMo",
  "functional": "GGA-PBE",
  "state": "optimized geometry",
  "lattice_angstrom": [[-2.996, 3.545, -1.033], [-4.097, -2.667, 2.731], [2.805, 5.026, 9.114]],
  "species": ["Mg", "Mg", "Mg", "Mg", "Mg", "Mg", "Mg", "Mg", "Mg", "Mg", "Mg", "Mg", "B", "B", "Mo", "Mo"],
  "fractional_positions": [[0.500, 0.249, 0.428], [0.500, 0.751, 0.428], [0.000, 0.755, 0.082], [0.000, 0.245, 0.082], [0.000, 0.000, 0.324], [0.000, 0.500, 0.311], [0.500, 0.749, 0.928], [0.500, 0.251, 0.928], [0.000, 0.255, 0.582], [0.000, 0.745, 0.582], [0.000, 0.500, 0.824], [0.000, 0.000, 0.811], [0.500, 0.500, 0.166], [0.500, 0.000, 0.666], [0.500, 0.000, 0.179], [0.500, 0.500, 0.679]],
  "density_g_cm3": 2.923
}

Of them, <b> has the lowest stability.

<a>
{
  "formula": "Mg14BMo",
  "functional": "GGA-PBE",
  "state": "optimized geometry",
  "lattice_angstrom": [[6.188, 0.000, 0.000], [-3.094, 5.359, 0.000], [0.000, 0.000, 9.743]],
  "species": ["Mg", "Mg", "Mg", "Mg", "Mg", "Mg", "Mg", "Mg", "Mg", "Mg", "Mg", "Mg", "Mg", "Mg", "B", "Mo"],
  "fractional_positions": [[0.000, 0.000, 0.246], [0.000, 0.000, 0.754], [0.021, 0.510, 0.253], [0.021, 0.510, 0.747], [0.332, 0.166, 0.500], [0.337, 0.169, 0.000], [0.490, 0.510, 0.253], [0.490, 0.510, 0.747], [0.490, 0.979, 0.253], [0.490, 0.979, 0.747], [0.831, 0.169, 0.000], [0.831, 0.663, 0.000], [0.834, 0.166, 0.500], [0.834, 0.668, 0.500], [0.333, 0.667, 0.500], [0.333, 0.667, 0.000]],
  "density_g_cm3": 2.298,
  "crystal_system": "hexagonal",
  "spacegroup": "No. 187"
}

<b>
{
  "formula": "Mg14BMo",
  "functional": "GGA-PBE",
  "state": "optimized geometry",
  "lattice_angstrom": [[9.979, 0.000, 0.000], [0.000, 3.050, 5.373], [0.000, -3.050, 5.373]],
  "species": ["Mg", "Mg", "Mg", "Mg", "Mg", "Mg", "Mg", "Mg", "Mg", "Mg", "Mg", "Mg", "Mg", "Mg", "B", "Mo"],
  "fractional_positions": [[0.000, 0.000, 0.000], [0.000, 0.003, 0.502], [0.000, 0.499, 0.499], [0.000, 0.502, 0.003], [0.255, 0.663, 0.663], [0.260, 0.162, 0.162], [0.272, 0.169, 0.674], [0.272, 0.674, 0.169], [0.500, 0.501, 0.995], [0.500, 0.995, 0.501], [0.728, 0.169, 0.674], [0.728, 0.674, 0.169], [0.740, 0.162, 0.162], [0.745, 0.663, 0.663], [0.500, 0.002, 0.002], [0.500, 0.505, 0.505]],
  "density_g_cm3": 2.270,
  "crystal_system": "orthorhombic",
  "spacegroup": "No. 38"
}

Of them, <b> has the lowest stability.

<a>
{
  "formula": "NaMg14B",
  "functional": "GGA-PBE",
  "state": "optimized geometry",
  "lattice_angstrom": [[6.277, 0.000, 0.000], [-3.138, 5.436, 0.000], [0.000, 0.000, 10.385]],
  "species": ["Na", "Mg", "Mg", "Mg", "Mg", "Mg", "Mg", "Mg", "Mg", "Mg", "Mg", "Mg", "Mg", "Mg", "Mg", "B"],
  "fractional_positions": [[0.000, 0.000, 0.000], [0.005, 0.503, 0.000], [0.162, 0.324, 0.268], [0.162, 0.324, 0.732], [0.162, 0.838, 0.268], [0.162, 0.838, 0.732], [0.497, 0.503, 0.000], [0.497, 0.995, 0.000], [0.503, 0.006, 0.500], [0.503, 0.497, 0.500], [0.667, 0.333, 0.244], [0.667, 0.333, 0.756], [0.676, 0.838, 0.268], [0.676, 0.838, 0.732], [0.994, 0.497, 0.500], [0.000, 0.000, 0.500]],
  "density_g_cm3": 1.753,
  "crystal_system": "hexagonal",
  "spacegroup": "No. 187"
}

<b>
{
  "formula": "NaMg14B",
  "functional": "GGA-PBE",
  "state": "optimized geometry",
  "lattice_angstrom": [[10.152, 0.000, 0.000], [0.000, 3.164, 5.431], [0.000, -3.164, 5.431]],
  "species": ["Na", "Mg", "Mg", "Mg", "Mg", "Mg", "Mg", "Mg", "Mg", "Mg", "Mg", "Mg", "Mg", "Mg", "Mg", "B"],
  "fractional_positions": [[0.000, 0.000, 0.000], [0.000, 0.510, 0.994], [0.000, 0.994, 0.510], [0.234, 0.340, 0.340], [0.240, 0.343, 0.819], [0.240, 0.819, 0.343], [0.256, 0.832, 0.832], [0.500, 0.003, 0.003], [0.500, 0.003, 0.497], [0.500, 0.497, 0.003], [0.500, 0.501, 0.501], [0.744, 0.832, 0.832], [0.760, 0.343, 0.819], [0.760, 0.819, 0.343], [0.766, 0.340, 0.340], [0.000, 0.505, 0.505]],
  "density_g_cm3": 1.781,
  "crystal_system": "orthorhombic",
  "spacegroup": "No. 38"
}

Of them, <a> has the lowest stability.

<a>
{
  "formula": "NaMg14BO16",
  "functional": "GGA-PBE",
  "state": "optimized geometry",
  "lattice_angstrom": [[8.432, 0.000, 0.000], [0.000, 8.432, 0.000], [0.000, 0.000, 4.299]],
  "species": ["Na", "Mg", "Mg", "Mg", "Mg", "Mg", "Mg", "Mg", "Mg", "Mg", "Mg", "Mg", "Mg", "Mg", "Mg", "B", "O", "O", "O", "O", "O", "O", "O", "O", "O", "O", "O", "O", "O", "O", "O", "O"],
  "fractional_positions": [[0.000, 0.000, 0.000], [0.000, 0.246, 0.500], [0.000, 0.500, 0.000], [0.000, 0.754, 0.500], [0.246, 0.000, 0.500], [0.250, 0.250, 0.000], [0.250, 0.750, 0.000], [0.258, 0.500, 0.500], [0.500, 0.000, 0.000], [0.500, 0.258, 0.500], [0.500, 0.742, 0.500], [0.742, 0.500, 0.500], [0.750, 0.250, 0.000], [0.750, 0.750, 0.000], [0.754, 0.000, 0.500], [0.500, 0.500, 0.000], [0.000, 0.000, 0.500], [0.000, 0.269, 0.000], [0.000, 0.500, 0.500], [0.000, 0.731, 0.000], [0.251, 0.251, 0.500], [0.251, 0.749, 0.500], [0.269, 0.000, 0.000], [0.294, 0.500, 0.000], [0.500, 0.000, 0.500], [0.500, 0.294, 0.000], [0.500, 0.500, 0.500], [0.500, 0.706, 0.000], [0.706, 0.500, 0.000], [0.731, 0.000, 0.000], [0.749, 0.251, 0.500], [0.749, 0.749, 0.500]],
  "density_g_cm3": 3.423,
  "crystal_system": "tetragonal",
  "spacegroup": "No. 123"
}

<b>
{
  "formula": "NaMg14BO16",
  "functional": "GGA-PBE",
  "state": "optimized geometry",
  "lattice_angstrom": [[4.311, 0.000, 0.000], [0.000, 8.272, 0.000], [0.000, 0.000, 8.704]],
  "species": ["Na", "Mg", "Mg", "Mg", "Mg", "Mg", "Mg", "Mg", "Mg", "Mg", "Mg", "Mg", "Mg", "Mg", "Mg", "B", "O", "O", "O", "O", "O", "O", "O", "O", "O", "O", "O", "O", "O", "O", "O", "O"],
  "fractional_positions": [[0.000, 0.000, 0.000], [0.000, 0.000, 0.500], [0.000, 0.254, 0.258], [0.000, 0.254, 0.742], [0.000, 0.500, 0.500], [0.000, 0.746, 0.258], [0.000, 0.746, 0.742], [0.500, 0.000, 0.246], [0.500, 0.000, 0.754], [0.500, 0.250, 0.500], [0.500, 0.258, 0.000], [0.500, 0.500, 0.247], [0.500, 0.500, 0.753], [0.500, 0.742, 0.000], [0.500, 0.750, 0.500], [0.000, 0.500, 0.000], [0.000, 0.000, 0.258], [0.000, 0.000, 0.742], [0.000, 0.250, 0.500], [0.000, 0.330, 0.000], [0.000, 0.500, 0.262], [0.000, 0.500, 0.738], [0.000, 0.670, 0.000], [0.000, 0.750, 0.500], [0.500, 0.000, 0.000], [0.500, 0.000, 0.500], [0.500, 0.250, 0.245], [0.500, 0.250, 0.755], [0.500, 0.500, 0.000], [0.500, 0.500, 0.500], [0.500, 0.750, 0.245], [0.500, 0.750, 0.755]],
  "density_g_cm3": 3.371,
  "crystal_system": "orthorhombic",
  "spacegroup": "No. 47"
}

Of them, <a> has the lowest stability.

<a>
{
  "formula": "Mg14NbB",
  "functional": "GGA-PBE",
  "state": "optimized geometry",
  "lattice_angstrom": [[10.030, 0.000, 0.000], [0.000, 3.050, 5.433], [0.000, -3.050, 5.433]],
  "species": ["Mg", "Mg", "Mg", "Mg", "Mg", "Mg", "Mg", "Mg", "Mg", "Mg", "Mg", "Mg", "Mg", "Mg", "Nb", "B"],
  "fractional_positions": [[0.000, 0.000, 0.000], [0.000, 0.003, 0.499], [0.000, 0.499, 0.003], [0.000, 0.499, 0.499], [0.252, 0.662, 0.662], [0.264, 0.159, 0.159], [0.266, 0.165, 0.672], [0.266, 0.672, 0.165], [0.500, 0.506, 0.997], [0.500, 0.997, 0.506], [0.734, 0.165, 0.672], [0.734, 0.672, 0.165], [0.736, 0.159, 0.159], [0.748, 0.662, 0.662], [0.500, 0.506, 0.506], [0.500, 0.998, 0.998]],
  "density_g_cm3": 2.218,
  "crystal_system": "orthorhombic",
  "spacegroup": "No. 38"
}

<b>
{
  "formula": "Mg14NbB",
  "functional": "GGA-PBE",
  "state": "optimized geometry",
  "lattice_angstrom": [[6.210, 0.000, 0.000], [-3.105, 5.378, 0.000], [0.000, 0.000, 9.905]],
  "species": ["Mg", "Mg", "Mg", "Mg", "Mg", "Mg", "Mg", "Mg", "Mg", "Mg", "Mg", "Mg", "Mg", "Mg", "Nb", "B"],
  "fractional_positions": [[0.000, 0.000, 0.243], [0.000, 0.000, 0.757], [0.020, 0.510, 0.257], [0.020, 0.510, 0.743], [0.330, 0.165, 0.500], [0.340, 0.170, 0.000], [0.490, 0.510, 0.257], [0.490, 0.510, 0.743], [0.490, 0.980, 0.257], [0.490, 0.980, 0.743], [0.830, 0.170, 0.000], [0.830, 0.660, 0.000], [0.835, 0.165, 0.500], [0.835, 0.670, 0.500], [0.333, 0.667, 0.000], [0.333, 0.667, 0.500]],
  "density_g_cm3": 2.229,
  "crystal_system": "hexagonal",
  "spacegroup": "No. 187"
}

Of them, <a> has the lowest stability.

<a>
{
  "formula": "Mg14NiB",
  "functional": "GGA-PBE",
  "state": "optimized geometry",
  "lattice_angstrom": [[9.591, 0.000, 0.000], [0.000, 3.211, 5.409], [0.000, -3.211, 5.409]],
  "species": ["Mg", "Mg", "Mg", "Mg", "Mg", "Mg", "Mg", "Mg", "Mg", "Mg", "Mg", "Mg", "Mg", "Mg", "Ni", "B"],
  "fractional_positions": [[0.000, 0.000, 0.000], [0.000, 0.010, 0.507], [0.000, 0.498, 0.498], [0.000, 0.507, 0.010], [0.249, 0.176, 0.176], [0.250, 0.672, 0.672], [0.312, 0.177, 0.695], [0.312, 0.695, 0.177], [0.500, 0.452, 0.963], [0.500, 0.963, 0.452], [0.688, 0.177, 0.695], [0.688, 0.695, 0.177], [0.750, 0.672, 0.672], [0.751, 0.176, 0.176], [0.500, 0.524, 0.524], [0.500, 0.034, 0.034]],
  "density_g_cm3": 2.042,
  "crystal_system": "orthorhombic",
  "spacegroup": "No. 38"
}

<b>
{
  "formula": "Mg14NiB",
  "functional": "GGA-PBE",
  "state": "optimized geometry",
  "lattice_angstrom": [[6.206, 0.000, 0.000], [-3.103, 5.374, 0.000], [0.000, 0.000, 9.812]],
  "species": ["Mg", "Mg", "Mg", "Mg", "Mg", "Mg", "Mg", "Mg", "Mg", "Mg", "Mg", "Mg", "Mg", "Mg", "Ni", "B"],
  "fractional_positions": [[0.000, 0.000, 0.248], [0.000, 0.000, 0.752], [0.016, 0.508, 0.250], [0.016, 0.508, 0.750], [0.333, 0.166, 0.500], [0.333, 0.167, 0.000], [0.492, 0.508, 0.250], [0.492, 0.508, 0.750], [0.492, 0.984, 0.250], [0.492, 0.984, 0.750], [0.833, 0.167, 0.000], [0.833, 0.667, 0.000], [0.834, 0.166, 0.500], [0.834, 0.667, 0.500], [0.333, 0.667, 0.000], [0.333, 0.667, 0.500]],
  "density_g_cm3": 2.079,
  "crystal_system": "hexagonal",
  "spacegroup": "No. 187"
}

Of them, <b> has the lowest stability.